[1]
CsSeBr3 | Materials Project | r²SCAN | optimized geometry; M_tot = 1.0 μB/f.u.; energy = -83.43 eV/cell; DFT formation energy = -0.85 eV/atom
1.0
5.5421 0.0000 0.0000
0.0000 5.5314 -0.0079
0.0000 0.0007 5.5350
Cs Se Br
1 1 3
direct
0.5000 0.0012 0.9894 Cs
0.0000 0.5025 0.4871 Se
0.5000 0.5016 0.4884 Br
0.0000 0.5023 0.9873 Br
0.0000 0.0024 0.4877 Br

***

[2]
PrAl2Ag | Materials Project | r²SCAN | optimized geometry; M_tot = 0.0 μB/f.u.; energy = -198.04 eV/cell; DFT formation energy = -0.45 eV/atom
1.0
-4.8939 7.9673 -1.8929
-4.8936 4.8386 -6.6069
-8.4879 3.6283 -2.4085
Pr Al Ag
3 6 3
direct
0.8581 0.8581 0.8581 Pr
0.1419 0.1419 0.1419 Pr
0.0000 0.0000 0.0000 Pr
0.4156 0.9229 0.4156 Al
0.4156 0.4156 0.9229 Al
0.9229 0.4156 0.4156 Al
0.5844 0.0771 0.5844 Al
0.5844 0.5844 0.0771 Al
0.0771 0.5844 0.5844 Al
0.6647 0.6647 0.6647 Ag
0.3353 0.3353 0.3353 Ag
0.5000 0.5000 0.5000 Ag

***

[3]
BaMgSi | Materials Project | r²SCAN | optimized geometry; M_tot = 0.0 μB/f.u.; energy = -81.46 eV/cell; DFT formation energy = -0.43 eV/atom
1.0
-0.9260 -3.0591 -3.3793
-0.8542 -3.2708 3.1949
-7.5909 2.1305 0.1515
Ba Mg Si
2 2 2
direct
0.2500 0.2500 0.1609 Ba
0.7500 0.7500 0.8391 Ba
0.2500 0.7500 0.5000 Mg
0.7500 0.2500 0.5000 Mg
0.2500 0.2500 0.7016 Si
0.7500 0.7500 0.2984 Si

***

[4]
Na5InO4 | Materials Project | r²SCAN | optimized geometry; E above lowest polymorph = 0.000 eV/atom; M_tot = 0.0 μB/f.u.; energy = -641.81 eV/cell; DFT formation energy = -1.59 eV/atom
1.0
10.5019 0.0000 0.0000
0.0000 10.6499 0.0000
0.0000 0.0000 10.7069
Na In O
40 8 32
direct
0.1032 0.1187 0.3384 Na
0.6032 0.8813 0.1616 Na
0.3968 0.6187 0.6616 Na
0.8968 0.3813 0.8384 Na
0.8968 0.8813 0.6616 Na
0.3968 0.1187 0.8384 Na
0.6032 0.3813 0.3384 Na
0.1032 0.6187 0.1616 Na
0.6426 0.8870 0.8968 Na
0.1426 0.1130 0.6032 Na
0.8574 0.3870 0.1032 Na
0.3574 0.6130 0.3968 Na
0.3574 0.1130 0.1032 Na
0.8574 0.8870 0.3968 Na
0.1426 0.6130 0.8968 Na
0.6426 0.3870 0.6032 Na
0.5956 0.6245 0.8525 Na
0.0956 0.3755 0.6475 Na
0.9044 0.1245 0.1475 Na
0.4044 0.8755 0.3525 Na
0.4044 0.3755 0.1475 Na
0.9044 0.6245 0.3525 Na
0.0956 0.8755 0.8525 Na
0.5956 0.1245 0.6475 Na
0.6668 0.1072 0.3826 Na
0.1668 0.8928 0.1174 Na
0.8332 0.6072 0.6174 Na
0.3332 0.3928 0.8826 Na
0.3332 0.8928 0.6174 Na
0.8332 0.1072 0.8826 Na
0.1668 0.3928 0.3826 Na
0.6668 0.6072 0.1174 Na
0.1319 0.8505 0.3818 Na
0.6319 0.1495 0.1182 Na
0.3681 0.3505 0.6182 Na
0.8681 0.6495 0.8818 Na
0.8681 0.1495 0.6182 Na
0.3681 0.8505 0.8818 Na
0.6319 0.6495 0.3818 Na
0.1319 0.3505 0.1182 Na
0.8848 0.3523 0.3786 In
0.3848 0.6477 0.1214 In
0.6152 0.8523 0.6214 In
0.1152 0.1477 0.8786 In
0.1152 0.6477 0.6214 In
0.6152 0.3523 0.8786 In
0.3848 0.1477 0.3786 In
0.8848 0.8523 0.1214 In
0.5114 0.7477 0.0113 O
0.0114 0.2523 0.4887 O
0.9886 0.2477 0.9887 O
0.4886 0.7523 0.5113 O
0.4886 0.2523 0.9887 O
0.9886 0.7477 0.5113 O
0.0114 0.7523 0.0113 O
0.5114 0.2477 0.4887 O
0.2380 0.5141 0.5438 O
0.7380 0.4859 0.9562 O
0.2620 0.0141 0.4562 O
0.7620 0.9859 0.0438 O
0.7620 0.4859 0.4562 O
0.2620 0.5141 0.0438 O
0.7380 0.9859 0.5438 O
0.2380 0.0141 0.9562 O
0.7673 0.2525 0.2565 O
0.2673 0.7475 0.2435 O
0.7327 0.7525 0.7435 O
0.2327 0.2475 0.7565 O
0.2327 0.7475 0.7435 O
0.7327 0.2525 0.7565 O
0.2673 0.2475 0.2565 O
0.7673 0.7525 0.2435 O
0.9997 0.4572 0.2560 O
0.4997 0.5428 0.2440 O
0.5003 0.9572 0.7440 O
0.0003 0.0428 0.7560 O
0.0003 0.5428 0.7440 O
0.5003 0.4572 0.7560 O
0.4997 0.0428 0.2560 O
0.9997 0.9572 0.2440 O

***

[5]
V3O5F | Materials Project | r²SCAN | optimized geometry; E above lowest polymorph = 0.004 eV/atom; M_tot = 4.0 μB/f.u.; energy = -200.02 eV/cell; DFT formation energy = -2.75 eV/atom
1.0
-4.5871 0.0000 -0.0001
-0.0002 4.5790 -5.7704
-0.0001 -4.5900 -2.8929
V O F
6 10 2
direct
0.5264 0.6678 0.1650 V
0.0264 0.9989 0.0017 V
0.9840 0.6753 0.6853 V
0.4840 0.9914 0.4813 V
0.4871 0.3545 0.8337 V
0.9871 0.3121 0.3329 V
0.8090 0.4362 0.6271 O
0.3090 0.2305 0.5396 O
0.7954 0.0964 0.2990 O
0.2954 0.5703 0.8677 O
0.7959 0.7685 0.9694 O
0.2959 0.8982 0.1973 O
0.6978 0.7680 0.4733 O
0.1977 0.8987 0.6932 O
0.7040 0.4290 0.1299 O
0.2040 0.2377 0.0367 O
0.7005 0.1021 0.7991 F
0.2007 0.5645 0.3677 F

***

[6]
Er2ReB6 | Materials Project | r²SCAN | optimized geometry; M_tot = 0.0 μB/f.u.; energy = -683.56 eV/cell; DFT formation energy = -0.73 eV/atom
1.0
3.6495 0.0000 0.0000
0.0000 9.1109 0.0001
0.0000 0.0002 11.4717
Er Re B
8 4 24
direct
0.0000 0.3235 0.4140 Er
0.0000 0.6765 0.5860 Er
0.0000 0.8236 0.0860 Er
0.0000 0.1764 0.9140 Er
0.0000 0.9429 0.3698 Er
0.0000 0.0571 0.6302 Er
0.0000 0.4428 0.1302 Er
0.0000 0.5572 0.8698 Er
0.0000 0.6386 0.3206 Re
0.0000 0.3614 0.6794 Re
0.0000 0.1385 0.1794 Re
0.0000 0.8615 0.8206 Re
0.5000 0.5532 0.4331 B
0.5000 0.4468 0.5669 B
0.5000 0.0532 0.0669 B
0.5000 0.9468 0.9331 B
0.5000 0.7495 0.4189 B
0.5000 0.2505 0.5811 B
0.5000 0.2495 0.0811 B
0.5000 0.7505 0.9189 B
0.5000 0.7922 0.2648 B
0.5000 0.2078 0.7352 B
0.5000 0.2922 0.2352 B
0.5000 0.7078 0.7648 B
0.5000 0.6306 0.1852 B
0.5000 0.3694 0.8149 B
0.5000 0.1306 0.3148 B
0.5000 0.8694 0.6852 B
0.5000 0.9818 0.2118 B
0.5000 0.0182 0.7882 B
0.5000 0.4818 0.2882 B
0.5000 0.5182 0.7118 B
0.5000 0.5996 0.0278 B
0.5000 0.4004 0.9722 B
0.5000 0.0996 0.4722 B
0.5000 0.9004 0.5278 B